Density functional theory data (PBE) for an optimized crystal structure of Li12Nb14ZnO42.

Computed properties:
Calculated volume = 11.3 A^3/atom
Formation energy = -19139 kJ/mol of formula units
Electronic total energy = -7.87 eV per atom

Unit cell a=9.061 b=9.276 c=9.896 alpha=103.60 beta=98.78 gamma=99.36
Fractional coordinates of all 69 atoms:
Li 0.246 0.262 0.210
O 0.184 0.703 0.507
O 0.018 0.308 0.803
O 0.120 0.419 0.115
O 0.969 0.845 0.827
O 0.325 0.273 0.793
Nb 0.356 0.929 0.213
Nb 0.644 0.079 0.792
Li 0.818 0.549 0.354
Nb 0.574 0.288 0.144
O 0.733 0.430 0.122
Nb 0.929 0.216 0.355
Li 0.675 0.975 0.069
Zn 0.960 0.117 0.641
Nb 0.292 0.143 0.573
Li 0.459 0.620 0.139
O 0.873 0.741 0.526
O 0.828 0.273 0.544
Li 0.388 0.834 0.497
Nb 0.855 0.432 0.719
Nb 0.998 0.000 0.000
Li 0.316 0.049 0.855
O 0.469 0.845 0.077
O 0.980 0.670 0.240
O 0.594 0.850 0.829
O 0.454 0.282 0.545
O 0.310 0.710 0.261
O 0.696 0.281 0.788
O 0.589 0.598 0.954
Li 0.746 0.765 0.712
O 0.758 0.991 0.652
O 0.023 0.567 0.687
O 0.552 0.957 0.383
O 0.988 0.425 0.368
Nb 0.070 0.780 0.642
O 0.255 0.988 0.400
O 0.272 0.566 0.938
Nb 0.710 0.853 0.426
Nb 0.788 0.639 0.068
O 0.540 0.130 0.969
O 0.846 0.851 0.083
O 0.560 0.711 0.511
O 0.695 0.528 0.668
Li 0.104 0.693 0.926
O 0.267 0.813 0.811
Nb 0.499 0.501 0.499
O 0.397 0.558 0.684
O 0.611 0.417 0.364
O 0.041 0.131 0.221
O 0.302 0.455 0.384
O 0.681 0.703 0.255
Li 0.529 0.407 0.784
Li 0.604 0.191 0.425
O 0.127 0.995 0.654
O 0.833 0.089 0.951
O 0.410 0.383 0.096
O 0.416 0.138 0.224
O 0.124 0.239 0.527
Nb 0.430 0.715 0.857
Li 0.174 0.476 0.569
O 0.731 0.169 0.240
O 0.159 0.883 0.097
O 0.166 0.137 0.974
Li 0.031 0.905 0.282
Nb 0.213 0.358 0.930
O 0.882 0.995 0.406
O 0.444 0.027 0.669
Nb 0.142 0.571 0.283
O 0.900 0.564 0.930

***

Density functional theory data (PBE) for an optimized crystal structure of LiNbZnO4.

Computed properties:
Calculated volume = 11.6 A^3/atom
Formation energy = -1742 kJ/mol of formula units
Largest piezoelectric modulus = 0.12 C/m2
Electronic total energy = -6.91 eV per atom

Unit cell a=6.172 b=6.172 c=8.505 alpha=90.00 beta=90.00 gamma=90.00
Fractional coordinates of all 28 atoms:
O 0.483 0.734 0.266
O 0.737 0.017 0.003
O 0.737 0.983 0.497
Zn 0.259 0.259 0.625
O 0.263 0.983 0.503
Li 0.000 0.219 0.000
O 0.266 0.517 0.484
O 0.734 0.483 0.984
Li 0.219 0.000 0.250
Nb 0.787 0.500 0.750
O 0.734 0.517 0.516
O 0.983 0.737 0.753
Zn 0.741 0.259 0.375
Nb 0.500 0.213 0.000
Zn 0.259 0.741 0.875
O 0.483 0.266 0.234
O 0.517 0.266 0.766
O 0.517 0.734 0.734
O 0.017 0.737 0.247
Zn 0.741 0.741 0.125
O 0.263 0.017 0.997
Nb 0.213 0.500 0.250
O 0.266 0.483 0.016
O 0.017 0.263 0.253
O 0.983 0.263 0.747
Li 0.781 0.000 0.750
Nb 0.500 0.787 0.500
Li 0.000 0.781 0.500

***

no.,E (MP2020) (eV per atom)
1,-8.2864
2,-7.3028